1.
Material: Mg2Zn
Method: DFT, GGA-PBE
State: relaxed

Summary:
Its space-group type is Amm2, No. 38. For the total energy, the calculation gives -9.00 eV for the cell shown. Its formation energy is -0.014 eV/atom.

Cell and atoms, written as POSCAR:
```
Mg2Zn
1.0
4.8560 0.0000 0.0000
0.0000 1.5475 7.9265
0.0000 -1.5475 7.9265
Mg Zn
4 2
direct
0.0000 0.0000 0.0000
0.0000 0.3279 0.3279
0.0000 0.6642 0.6642
0.5000 0.8861 0.8861
0.5000 0.2179 0.2179
0.5000 0.5548 0.5548
```

***

2.
Material: Mg2Zn
Method: DFT, GGA-PBE
State: relaxed

Summary:
Its space-group type is Cmcm, No. 63. For the total energy, the calculation gives -9.19 eV for the cell shown. Its formation energy is -0.045 eV/atom.

Cell and atoms, written as POSCAR:
```
Mg2Zn
1.0
1.5587 -7.7341 0.0000
1.5587 7.7341 0.0000
0.0000 0.0000 4.8955
Mg Zn
4 2
direct
0.0549 0.9451 0.7500
0.2752 0.7248 0.2500
0.7248 0.2752 0.7500
0.9451 0.0549 0.2500
0.3882 0.6118 0.7500
0.6118 0.3882 0.2500
```

***

3.
Material: Mg2Zn
Method: DFT, GGA-PBE
State: relaxed

Summary:
Its space-group type is C2/m, No. 12. For the total energy, the calculation gives -9.11 eV for the cell shown. Its formation energy is -0.032 eV/atom.

Cell and atoms, written as POSCAR:
```
Mg2Zn
1.0
5.7061 -1.5470 0.0000
5.7061 1.5470 0.0000
-1.7644 0.0000 6.6449
Mg Zn
4 2
direct
0.1354 0.1354 0.0372
0.1745 0.1745 0.6199
0.8255 0.8255 0.3801
0.8646 0.8646 0.9628
0.4743 0.4743 0.7003
0.5257 0.5257 0.2997
```

***

4.
Material: Mg2Zn
Method: DFT, GGA-PBE
State: relaxed

Summary:
Its space-group type is Cmcm, No. 63. For the total energy, the calculation gives -9.11 eV for the cell shown. Its formation energy is -0.031 eV/atom.

Cell and atoms, written as POSCAR:
```
Mg2Zn
1.0
4.6772 -2.5442 0.0000
4.6772 2.5442 0.0000
0.0000 0.0000 4.9400
Mg Zn
4 2
direct
0.0268 0.6605 0.7500
0.3395 0.9732 0.7500
0.6605 0.0268 0.2500
0.9732 0.3395 0.2500
0.3361 0.6639 0.2500
0.6639 0.3361 0.7500
```

***

5.
Material: Mg2Zn
Method: DFT, GGA-PBE
State: relaxed

Summary:
Its space-group type is Cmcm, No. 63. For the total energy, the calculation gives -9.25 eV for the cell shown. Its formation energy is -0.054 eV/atom.

Cell and atoms, written as POSCAR:
```
Mg2Zn
1.0
1.5501 -7.8183 0.0000
1.5501 7.8183 0.0000
0.0000 0.0000 4.8902
Mg Zn
4 2
direct
0.0987 0.9013 0.7500
0.2159 0.7841 0.2500
0.7841 0.2159 0.7500
0.9013 0.0987 0.2500
0.4455 0.5545 0.7500
0.5545 0.4455 0.2500
```

***

6.
Material: Mg2Zn11
Method: DFT, GGA-PBE
State: relaxed

Summary:
Its space-group type is Pm-3, No. 200. For the total energy, the calculation gives -53.79 eV for the cell shown. Its formation energy is -0.067 eV/atom.

Cell and atoms, written as POSCAR:
```
Mg2Zn11
1.0
8.5505 0.0000 0.0000
0.0000 8.5505 0.0000
0.0000 0.0000 8.5505
Mg Zn
6 33
direct
0.0000 0.1975 0.5000
0.0000 0.8025 0.5000
0.1975 0.5000 0.0000
0.5000 0.0000 0.1975
0.5000 0.0000 0.8025
0.8025 0.5000 0.0000
0.0000 0.0000 0.0000
0.0000 0.2647 0.1582
0.0000 0.2647 0.8418
0.0000 0.5000 0.3402
0.0000 0.5000 0.6598
0.0000 0.7353 0.1582
0.0000 0.7353 0.8418
0.1582 0.0000 0.2647
0.1582 0.0000 0.7353
0.2647 0.1582 0.0000
0.2647 0.8418 0.0000
0.2700 0.5000 0.5000
0.2818 0.2818 0.2818
0.2818 0.2818 0.7182
0.2818 0.7182 0.2818
0.2818 0.7182 0.7182
0.3402 0.0000 0.5000
0.5000 0.2700 0.5000
0.5000 0.3402 0.0000
0.5000 0.5000 0.2700
0.5000 0.5000 0.7300
0.5000 0.6598 0.0000
0.5000 0.7300 0.5000
0.6598 0.0000 0.5000
0.7182 0.2818 0.2818
0.7182 0.2818 0.7182
0.7182 0.7182 0.2818
0.7182 0.7182 0.7182
0.7300 0.5000 0.5000
0.7353 0.1582 0.0000
0.7353 0.8418 0.0000
0.8418 0.0000 0.2647
0.8418 0.0000 0.7353
```

***

7.
Material: Mg149Zn
Method: DFT, GGA-PBE
State: relaxed

Summary:
Its space-group type is P-6m2, No. 187. For the total energy, the calculation gives -243.86 eV for the cell shown. Its formation energy is -0.028 eV/atom.

Cell and atoms, written as POSCAR:
```
Mg149Zn
1.0
15.9615 0.0000 0.0000
-7.9808 13.8231 0.0000
0.0000 0.0000 15.6312
Mg Zn
149 1
direct
0.0000 0.0000 0.0000
0.0000 0.0000 0.3334
0.0000 0.0000 0.6666
0.9999 0.2000 0.0000
0.9999 0.1999 0.3335
0.9999 0.1999 0.6665
0.0004 0.4001 0.0000
0.0004 0.6003 0.0000
0.9999 0.7999 0.0000
0.9999 0.8000 0.3335
0.9999 0.8000 0.6665
0.0011 0.4007 0.3339
0.0011 0.4007 0.6661
0.0011 0.6004 0.3339
0.0011 0.6004 0.6661
0.1334 0.0667 0.1668
0.1334 0.0667 0.8332
0.1334 0.2668 0.1666
0.1334 0.2668 0.8334
0.1334 0.8666 0.1666
0.1334 0.8666 0.8334
0.1336 0.0668 0.5000
0.1338 0.2676 0.5000
0.1338 0.4673 0.1671
0.1338 0.4673 0.8329
0.1338 0.6665 0.1671
0.1338 0.6665 0.8329
0.1338 0.8662 0.5000
0.1372 0.4696 0.5000
0.1372 0.6676 0.5000
0.2001 0.0001 0.0000
0.2000 0.0001 0.3335
0.2000 0.0001 0.6665
0.2001 0.2000 0.0000
0.2000 0.1999 0.3335
0.2000 0.1999 0.6665
0.1997 0.3994 0.3330
0.1997 0.3994 0.6670
0.2001 0.4003 0.0000
0.2003 0.6002 0.0000
0.2001 0.7999 0.0000
0.1997 0.8003 0.3330
0.1997 0.8003 0.6670
0.2024 0.6012 0.3362
0.2024 0.6012 0.6638
0.3324 0.4696 0.5000
0.3324 0.8628 0.5000
0.3334 0.0664 0.1670
0.3334 0.0661 0.5000
0.3334 0.0664 0.8330
0.3334 0.2670 0.1670
0.3334 0.2673 0.5000
0.3334 0.2670 0.8330
0.3333 0.6667 0.1678
0.3333 0.6667 0.8322
0.3335 0.4673 0.1671
0.3335 0.4673 0.8329
0.3335 0.8662 0.1671
0.3335 0.8662 0.8329
0.3988 0.6012 0.3362
0.3988 0.6012 0.6638
0.3988 0.7976 0.3362
0.3988 0.7976 0.6638
0.3997 0.9996 0.0000
0.3998 0.1999 0.0000
0.4000 0.2000 0.3336
0.4000 0.2000 0.6664
0.3997 0.4001 0.0000
0.3996 0.4007 0.3339
0.3996 0.4007 0.6661
0.3998 0.6002 0.0000
0.3998 0.7997 0.0000
0.3996 0.9989 0.3339
0.3996 0.9989 0.6661
0.5304 0.6676 0.5000
0.5304 0.8628 0.5000
0.5325 0.0650 0.5000
0.5325 0.4675 0.5000
0.5332 0.0664 0.1670
0.5332 0.0664 0.8330
0.5333 0.2667 0.1668
0.5331 0.2666 0.5000
0.5333 0.2667 0.8332
0.5332 0.4668 0.1670
0.5332 0.4668 0.8330
0.5327 0.6665 0.1671
0.5327 0.6665 0.8329
0.5327 0.8662 0.1671
0.5327 0.8662 0.8329
0.5993 0.6004 0.3339
0.5993 0.6004 0.6661
0.5993 0.9989 0.3339
0.5993 0.9989 0.6661
0.5999 0.9996 0.0000
0.5999 0.1997 0.0000
0.5998 0.1995 0.3336
0.5998 0.1995 0.6664
0.5999 0.4001 0.0000
0.5998 0.4002 0.3336
0.5998 0.4002 0.6664
0.5999 0.6003 0.0000
0.5997 0.7999 0.0000
0.6006 0.8003 0.3330
0.6006 0.8003 0.6670
0.7324 0.8662 0.5000
0.7330 0.0664 0.1670
0.7327 0.0661 0.5000
0.7330 0.0664 0.8330
0.7333 0.2667 0.1668
0.7334 0.2666 0.5000
0.7333 0.2667 0.8332
0.7333 0.4667 0.1668
0.7334 0.4669 0.5000
0.7333 0.4667 0.8332
0.7330 0.6666 0.1670
0.7327 0.6666 0.5000
0.7330 0.6666 0.8330
0.7332 0.8666 0.1666
0.7332 0.8666 0.8334
0.8000 0.0001 0.0000
0.8001 0.0001 0.3335
0.8001 0.0001 0.6665
0.8001 0.1999 0.0000
0.8000 0.2000 0.3336
0.8000 0.2000 0.6664
0.8003 0.4001 0.0000
0.8005 0.4002 0.3336
0.8005 0.4002 0.6664
0.8001 0.6002 0.0000
0.8000 0.6000 0.3336
0.8000 0.6000 0.6664
0.8000 0.7999 0.0000
0.8001 0.8000 0.3335
0.8001 0.8000 0.6665
0.9333 0.0667 0.1668
0.9332 0.0668 0.5000
0.9333 0.0667 0.8332
0.9332 0.8664 0.5000
0.9333 0.8666 0.1668
0.9333 0.8666 0.8332
0.9336 0.2670 0.1670
0.9339 0.2673 0.5000
0.9336 0.2670 0.8330
0.9336 0.4668 0.1670
0.9336 0.4668 0.8330
0.9336 0.6666 0.1670
0.9339 0.6666 0.5000
0.9336 0.6666 0.8330
0.9350 0.4675 0.5000
0.3333 0.6667 0.5000
```

***

8.
Material: Mg2Zn
Method: DFT, GGA-PBE
State: relaxed

Summary:
Its space-group type is R32, No. 155. For the total energy, the calculation gives -8.91 eV for the cell shown. Its formation energy is 0.001 eV/atom.

Cell and atoms, written as POSCAR:
```
Mg2Zn
1.0
2.5758 1.4871 5.2646
-2.5758 1.4871 5.2646
0.0000 -2.9743 5.2646
Mg Zn
4 2
direct
0.0000 0.0000 0.0000
0.1703 0.8298 0.5000
0.5000 0.1703 0.8298
0.8298 0.5000 0.1703
0.3349 0.3349 0.3349
0.6651 0.6651 0.6651
```

***

9.
Material: Mg2Zn
Method: DFT, GGA-PBE
State: relaxed

Summary:
Its space-group type is P-62m, No. 189. For the total energy, the calculation gives -8.95 eV for the cell shown. Its formation energy is -0.005 eV/atom.

Cell and atoms, written as POSCAR:
```
Mg2Zn
1.0
5.2479 0.0000 0.0000
-2.6240 4.5448 0.0000
0.0000 0.0000 4.9843
Mg Zn
4 2
direct
0.0000 0.0000 0.0000
0.0000 0.6578 0.5000
0.3422 0.3422 0.5000
0.6578 0.0000 0.5000
0.3333 0.6667 0.0000
0.6667 0.3333 0.0000
```

***

10.
Material: Mg2Zn
Method: DFT, GGA-PBE
State: relaxed

Summary:
Its space-group type is C2/c, No. 15. For the total energy, the calculation gives -9.06 eV for the cell shown. Its formation energy is -0.023 eV/atom.

Cell and atoms, written as POSCAR:
```
Mg2Zn
1.0
4.6009 -2.5530 0.0000
4.6009 2.5530 0.0000
-3.3034 0.0000 5.0194
Mg Zn
4 2
direct
0.0839 0.2534 0.2512
0.2534 0.0839 0.7512
0.7466 0.9161 0.2488
0.9161 0.7466 0.7488
0.4176 0.5824 0.2500
0.5824 0.4176 0.7500
```

***

11.
Material: Mg2Zn
Method: DFT, GGA-PBE
State: relaxed

Summary:
Its space-group type is Cmcm, No. 63. For the total energy, the calculation gives -8.98 eV for the cell shown. Its formation energy is -0.010 eV/atom.

Cell and atoms, written as POSCAR:
```
Mg2Zn
1.0
1.5529 -7.7665 0.0000
1.5529 7.7665 0.0000
0.0000 0.0000 4.9553
Mg Zn
4 2
direct
0.0604 0.9396 0.7500
0.3782 0.6218 0.7500
0.6218 0.3782 0.2500
0.9396 0.0604 0.2500
0.2778 0.7222 0.2500
0.7222 0.2778 0.7500
```

***

12.
Material: Mg2Zn
Method: DFT, GGA-PBE
State: relaxed

Summary:
Its space-group type is C2/m, No. 12. For the total energy, the calculation gives -8.99 eV for the cell shown. Its formation energy is -0.011 eV/atom.

Cell and atoms, written as POSCAR:
```
Mg2Zn
1.0
5.8008 -1.5319 0.0000
5.8008 1.5319 0.0000
-1.9158 0.0000 6.7335
Mg Zn
4 2
direct
0.0253 0.0253 0.2814
0.3014 0.3014 0.3445
0.6986 0.6986 0.6555
0.9747 0.9747 0.7186
0.3584 0.3584 0.9744
0.6415 0.6415 0.0256
```

***

13.
Material: Mg7Zn
Method: DFT, GGA-PBE
State: relaxed

Summary:
Its space-group type is P-6m2, No. 187. For the total energy, the calculation gives -12.45 eV for the cell shown. Its formation energy is 0.001 eV/atom.

Cell and atoms, written as POSCAR:
```
Mg7Zn
1.0
6.2967 0.0000 0.0000
-3.1483 5.4531 0.0000
0.0000 0.0000 5.0600
Mg Zn
7 1
direct
0.0000 0.0000 0.0000
0.0052 0.5026 0.0000
0.3322 0.1661 0.5000
0.4974 0.5026 0.0000
0.4974 0.9948 0.0000
0.8339 0.1661 0.5000
0.8339 0.6678 0.5000
0.3333 0.6667 0.5000
```

***

14.
Material: Mg2Zn
Method: DFT, GGA-PBE
State: relaxed

Summary:
Its space-group type is P-6m2, No. 187. For the total energy, the calculation gives -8.93 eV for the cell shown. Its formation energy is -0.001 eV/atom.

Cell and atoms, written as POSCAR:
```
Mg2Zn
1.0
3.0926 0.0000 0.0000
-1.5463 2.6783 0.0000
0.0000 0.0000 14.5825
Mg Zn
4 2
direct
0.0000 0.0000 0.0000
0.0000 0.0000 0.3168
0.0000 0.0000 0.6832
0.3333 0.6667 0.5000
0.3333 0.6667 0.1586
0.3333 0.6667 0.8414
```

***

15.
Material: Mg14ZrZn
Method: DFT, GGA-PBE
State: relaxed

Summary:
Its space-group type is P-6m2, No. 187. For the total energy, the calculation gives -32.06 eV for the cell shown. Its formation energy is 0.009 eV/atom.

Cell and atoms, written as POSCAR:
```
Mg14ZrZn
1.0
6.3862 0.0000 0.0000
-3.1931 5.5306 0.0000
0.0000 0.0000 10.0790
Mg Zr Zn
14 1 1
direct
0.0000 0.0000 0.2469
0.0000 0.0000 0.7531
0.0099 0.5049 0.2529
0.0099 0.5049 0.7471
0.3316 0.1658 0.5000
0.3404 0.1702 0.0000
0.4951 0.5049 0.2529
0.4951 0.5049 0.7471
0.4951 0.9901 0.2529
0.4951 0.9901 0.7471
0.8298 0.1702 0.0000
0.8298 0.6596 0.0000
0.8342 0.1658 0.5000
0.8342 0.6684 0.5000
0.3333 0.6667 0.0000
0.3333 0.6667 0.5000
```

***

16.
Material: Mg14ZrZn
Method: DFT, GGA-PBE
State: relaxed

Summary:
Its space-group type is Amm2, No. 38. For the total energy, the calculation gives -32.04 eV for the cell shown. Its formation energy is 0.011 eV/atom.

Cell and atoms, written as POSCAR:
```
Mg14ZrZn
1.0
10.1093 0.0000 0.0000
0.0000 3.1225 5.5904
0.0000 -3.1225 5.5904
Mg Zr Zn
14 1 1
direct
0.0000 0.0000 0.0000
0.0000 0.0020 0.4979
0.0000 0.4979 0.0020
0.0000 0.4988 0.4988
0.2480 0.6625 0.6625
0.2558 0.1676 0.6664
0.2558 0.6664 0.1676
0.2628 0.1614 0.1614
0.5000 0.5119 0.9987
0.5000 0.9987 0.5119
0.7372 0.1614 0.1614
0.7442 0.1676 0.6664
0.7442 0.6664 0.1676
0.7520 0.6625 0.6625
0.5000 0.5056 0.5056
0.5000 0.9909 0.9909
```